# CdPbF6

A geometry-optimized CdPbF6 structure (PBE, Materials Project).

Final energy: -32.2 eV/cell
ΔE_f: -2.3598 eV per atom
Space-group type: No. 148

abc: 6.043 6.043 6.043
angles: 55.97 55.97 55.97
Element x y z (fractional)
1 Cd 0.500 0.500 0.500
2 Pb 0.000 0.000 0.000
3 F 0.360 0.122 0.757
4 F 0.757 0.360 0.122
5 F 0.122 0.757 0.360
6 F 0.878 0.243 0.640
7 F 0.243 0.640 0.878
8 F 0.640 0.878 0.243